1.
# NdSn3Ru | the Materials Project database | PBE-GGA | relaxed
data_NdSn3Ru
_cell_length_a 9.8260
_cell_length_b 9.8260
_cell_length_c 9.8260
_cell_angle_alpha 90.00
_cell_angle_beta 90.00
_cell_angle_gamma 90.00
_symmetry_space_group_name_H-M 'P m -3 n'
_symmetry_Int_Tables_number 223
_symmetry_space_group_name_Hall '-P 4n 2 3'
loop_
_atom_site_label
_atom_site_type_symbol
_atom_site_fract_x
_atom_site_fract_y
_atom_site_fract_z
Nd1 Nd 0.0000 0.0000 0.0000
Nd2 Nd 0.0000 0.2500 0.5000
Sn1 Sn 0.0000 0.3117 0.1570
Ru1 Ru 0.2500 0.2500 0.2500
# Formation energy in eV per atom: -0.477



2.
# Nd3S4 | the Materials Project database | PBE-GGA | relaxed
data_Nd3S4
_cell_length_a 8.5842
_cell_length_b 8.5842
_cell_length_c 8.5842
_cell_angle_alpha 90.00
_cell_angle_beta 90.00
_cell_angle_gamma 90.00
_symmetry_space_group_name_H-M 'I -4 3 d'
_symmetry_Int_Tables_number 220
_symmetry_space_group_name_Hall 'I -4bd 2c 3'
loop_
_atom_site_label
_atom_site_type_symbol
_atom_site_fract_x
_atom_site_fract_y
_atom_site_fract_z
Nd1 Nd 0.0000 0.2500 0.3750
S1 S 0.0744 0.0744 0.0744
# Formation energy in eV per atom: -2.301



3.
# Nd5S4 | the Materials Project database | PBE-GGA | relaxed
data_Nd5S4
_cell_length_a 4.0219
_cell_length_b 4.0219
_cell_length_c 49.9067
_cell_angle_alpha 90.00
_cell_angle_beta 90.00
_cell_angle_gamma 120.00
_symmetry_space_group_name_H-M 'R -3 m'
_symmetry_Int_Tables_number 166
_symmetry_space_group_name_Hall '-R 3 2"'
loop_
_atom_site_label
_atom_site_type_symbol
_atom_site_fract_x
_atom_site_fract_y
_atom_site_fract_z
Nd1 Nd 0.0000 0.0000 0.0000
Nd2 Nd 0.0000 0.0000 0.1986
Nd3 Nd 0.0000 0.0000 0.4022
S1 S 0.0000 0.0000 0.1017
S2 S 0.0000 0.0000 0.2992
# Formation energy in eV per atom: -1.969



Number 2 is which compound? Nd3S4



What did the third record say?
# Nd5S4 | the Materials Project database | PBE-GGA | relaxed
data_Nd5S4
_cell_length_a 4.0219
_cell_length_b 4.0219
_cell_length_c 49.9067
_cell_angle_alpha 90.00
_cell_angle_beta 90.00
_cell_angle_gamma 120.00
_symmetry_space_group_name_H-M 'R -3 m'
_symmetry_Int_Tables_number 166
_symmetry_space_group_name_Hall '-R 3 2"'
loop_
_atom_site_label
_atom_site_type_symbol
_atom_site_fract_x
_atom_site_fract_y
_atom_site_fract_z
Nd1 Nd 0.0000 0.0000 0.0000
Nd2 Nd 0.0000 0.0000 0.1986
Nd3 Nd 0.0000 0.0000 0.4022
S1 S 0.0000 0.0000 0.1017
S2 S 0.0000 0.0000 0.2992
# Formation energy in eV per atom: -1.969